(1)
A relaxed structure of CeGa3Pt. Source: Materials Project, functional PBE. Values from VASP.

The structure in Quantum ESPRESSO input format:
```
&SYSTEM
  ibrav = 0, nat = 5, ntyp = 3
/
ATOMIC_SPECIES
Ce 140.12 Ce.upf
Ga 69.72 Ga.upf
Pt 195.08 Pt.upf
ATOMIC_POSITIONS crystal
Ce 0.000 0.000 0.000
Ga 0.385 0.385 0.000
Ga 0.615 0.615 0.000
Ga 0.750 0.250 0.500
Pt 0.250 0.750 0.500
CELL_PARAMETERS angstrom
-2.113 2.113 5.382
2.113 -2.113 5.382
2.113 2.113 -5.382
```

Calculated values
- Theoretical density: 9.404 Mg/m³



(2)
A relaxed structure of Np3HF12. Source: Materials Project, functional PBE. Values from VASP.

The structure in Quantum ESPRESSO input format:
```
&SYSTEM
  ibrav = 0, nat = 32, ntyp = 3
/
ATOMIC_SPECIES
Np 237.00 Np.upf
H 1.01 H.upf
F 19.00 F.upf
ATOMIC_POSITIONS crystal
Np 0.000 0.000 0.000
Np 0.083 0.432 0.870
Np 0.204 0.578 0.480
Np 0.432 0.083 0.870
Np 0.578 0.204 0.480
Np 0.624 0.624 0.327
H 0.689 0.689 0.074
H 0.967 0.967 0.207
F 0.027 0.726 0.953
F 0.057 0.283 0.255
F 0.090 0.549 0.168
F 0.125 0.517 0.666
F 0.178 0.965 0.864
F 0.220 0.879 0.548
F 0.234 0.234 0.733
F 0.283 0.057 0.255
F 0.328 0.328 0.089
F 0.369 0.613 0.064
F 0.410 0.410 0.546
F 0.426 0.776 0.793
F 0.432 0.671 0.444
F 0.517 0.125 0.666
F 0.549 0.090 0.168
F 0.613 0.369 0.064
F 0.624 0.913 0.384
F 0.671 0.432 0.444
F 0.726 0.027 0.953
F 0.776 0.426 0.793
F 0.803 0.803 0.660
F 0.879 0.220 0.548
F 0.913 0.624 0.384
F 0.965 0.178 0.864
CELL_PARAMETERS angstrom
6.036 -5.885 0.000
6.036 5.885 0.000
-5.425 0.000 6.652
```

Calculated values
- Theoretical density: 6.605 Mg/m³



(3)
A relaxed structure of Rb4MgTi2Cu4S8. Source: Materials Project, functional PBE. Values from VASP.

The structure in Quantum ESPRESSO input format:
```
&SYSTEM
  ibrav = 0, nat = 19, ntyp = 5
/
ATOMIC_SPECIES
Rb 85.47 Rb.upf
Mg 24.30 Mg.upf
Ti 47.87 Ti.upf
Cu 63.55 Cu.upf
S 32.06 S.upf
ATOMIC_POSITIONS crystal
Rb 0.176 0.824 0.000
Rb 0.234 0.234 0.500
Rb 0.766 0.766 0.500
Rb 0.824 0.176 0.000
Mg 0.500 0.500 0.000
Ti 0.500 0.500 0.260
Ti 0.500 0.500 0.740
Cu 0.000 0.500 0.253
Cu 0.000 0.500 0.747
Cu 0.500 0.000 0.253
Cu 0.500 0.000 0.747
S 0.267 0.733 0.345
S 0.267 0.733 0.655
S 0.278 0.278 0.144
S 0.278 0.278 0.856
S 0.722 0.722 0.144
S 0.722 0.722 0.856
S 0.733 0.267 0.345
S 0.733 0.267 0.655
CELL_PARAMETERS angstrom
3.926 -4.338 0.000
3.926 4.338 0.000
0.000 0.000 13.184
```

Calculated values
- Theoretical density: 3.596 Mg/m³
- Distance to the lowest polymorph of the same formula: 134.4 meV/atom



(4)
A relaxed structure of BiSb3P6O24. Source: Materials Project, functional PBE. Values from VASP.

The structure in Quantum ESPRESSO input format:
```
&SYSTEM
  ibrav = 0, nat = 136, ntyp = 4
/
ATOMIC_SPECIES
Bi 208.98 Bi.upf
Sb 121.76 Sb.upf
P 30.97 P.upf
O 16.00 O.upf
ATOMIC_POSITIONS crystal
Bi 0.000 0.000 0.000
Bi 0.000 0.500 0.500
Bi 0.500 0.000 0.500
Bi 0.500 0.500 0.000
Sb 0.000 0.000 0.500
Sb 0.000 0.500 0.000
Sb 0.213 0.747 0.752
Sb 0.248 0.787 0.253
Sb 0.253 0.248 0.787
Sb 0.282 0.282 0.282
Sb 0.500 0.000 0.000
Sb 0.500 0.500 0.500
Sb 0.718 0.718 0.718
Sb 0.747 0.752 0.213
Sb 0.752 0.213 0.747
Sb 0.787 0.253 0.248
P 0.013 0.127 0.733
P 0.028 0.232 0.360
P 0.127 0.733 0.013
P 0.131 0.488 0.751
P 0.232 0.360 0.028
P 0.249 0.869 0.512
P 0.266 0.537 0.364
P 0.267 0.987 0.873
P 0.360 0.028 0.232
P 0.364 0.266 0.537
P 0.463 0.636 0.734
P 0.488 0.751 0.131
P 0.512 0.249 0.869
P 0.537 0.364 0.266
P 0.636 0.734 0.463
P 0.640 0.972 0.768
P 0.733 0.013 0.127
P 0.734 0.463 0.636
P 0.751 0.131 0.488
P 0.768 0.640 0.972
P 0.869 0.512 0.249
P 0.873 0.267 0.987
P 0.972 0.768 0.640
P 0.987 0.873 0.267
O 0.004 0.690 0.552
O 0.008 0.963 0.188
O 0.037 0.812 0.992
O 0.044 0.450 0.675
O 0.059 0.082 0.622
O 0.059 0.786 0.731
O 0.062 0.116 0.402
O 0.082 0.622 0.059
O 0.084 0.515 0.864
O 0.092 0.803 0.292
O 0.097 0.214 0.767
O 0.116 0.402 0.062
O 0.124 0.275 0.287
O 0.136 0.916 0.485
O 0.186 0.517 0.455
O 0.188 0.008 0.963
O 0.188 0.594 0.708
O 0.197 0.708 0.908
O 0.214 0.269 0.941
O 0.214 0.767 0.097
O 0.227 0.406 0.761
O 0.231 0.632 0.286
O 0.233 0.903 0.786
O 0.239 0.773 0.594
O 0.269 0.941 0.214
O 0.275 0.287 0.124
O 0.275 0.442 0.280
O 0.280 0.275 0.442
O 0.286 0.231 0.632
O 0.287 0.124 0.275
O 0.292 0.092 0.803
O 0.292 0.812 0.406
O 0.310 0.448 0.996
O 0.325 0.956 0.550
O 0.368 0.714 0.769
O 0.378 0.941 0.918
O 0.384 0.561 0.405
O 0.402 0.062 0.116
O 0.405 0.384 0.561
O 0.406 0.292 0.812
O 0.406 0.761 0.227
O 0.439 0.595 0.616
O 0.442 0.280 0.275
O 0.448 0.996 0.310
O 0.450 0.675 0.044
O 0.455 0.186 0.517
O 0.483 0.545 0.814
O 0.485 0.136 0.916
O 0.515 0.864 0.084
O 0.517 0.455 0.186
O 0.545 0.814 0.483
O 0.550 0.325 0.956
O 0.552 0.004 0.690
O 0.558 0.720 0.725
O 0.561 0.405 0.384
O 0.594 0.239 0.773
O 0.594 0.708 0.188
O 0.595 0.616 0.439
O 0.598 0.938 0.884
O 0.616 0.439 0.595
O 0.622 0.059 0.082
O 0.632 0.286 0.231
O 0.675 0.044 0.450
O 0.690 0.552 0.004
O 0.708 0.188 0.594
O 0.708 0.908 0.197
O 0.713 0.876 0.725
O 0.714 0.769 0.368
O 0.720 0.725 0.558
O 0.725 0.558 0.720
O 0.725 0.713 0.876
O 0.731 0.059 0.786
O 0.761 0.227 0.406
O 0.767 0.097 0.214
O 0.769 0.368 0.714
O 0.773 0.594 0.239
O 0.786 0.233 0.903
O 0.786 0.731 0.059
O 0.803 0.292 0.092
O 0.812 0.406 0.292
O 0.812 0.992 0.037
O 0.814 0.483 0.545
O 0.864 0.084 0.515
O 0.876 0.725 0.713
O 0.884 0.598 0.938
O 0.903 0.786 0.233
O 0.908 0.197 0.708
O 0.916 0.485 0.136
O 0.918 0.378 0.941
O 0.938 0.884 0.598
O 0.941 0.214 0.269
O 0.941 0.918 0.378
O 0.956 0.550 0.325
O 0.963 0.188 0.008
O 0.992 0.037 0.812
O 0.996 0.310 0.448
CELL_PARAMETERS angstrom
8.665 5.003 7.196
-8.665 5.003 7.196
0.000 -10.005 7.196
```

Calculated values
- Theoretical density: 4.060 Mg/m³



(5)
A relaxed structure of K3GdGe3H2O10. Source: Materials Project, functional PBE. Values from VASP.

The structure in Quantum ESPRESSO input format:
```
&SYSTEM
  ibrav = 0, nat = 76, ntyp = 5
/
ATOMIC_SPECIES
K 39.10 K.upf
Gd 157.25 Gd.upf
Ge 72.64 Ge.upf
H 1.01 H.upf
O 16.00 O.upf
ATOMIC_POSITIONS crystal
K 0.131 0.250 0.079
K 0.135 0.016 0.412
K 0.135 0.484 0.412
K 0.365 0.516 0.912
K 0.365 0.984 0.912
K 0.369 0.750 0.579
K 0.631 0.250 0.421
K 0.635 0.016 0.088
K 0.635 0.484 0.088
K 0.865 0.516 0.588
K 0.865 0.984 0.588
K 0.869 0.750 0.921
Gd 0.041 0.750 0.412
Gd 0.459 0.250 0.912
Gd 0.541 0.750 0.088
Gd 0.959 0.250 0.588
Ge 0.099 0.602 0.910
Ge 0.099 0.898 0.910
Ge 0.245 0.250 0.586
Ge 0.255 0.750 0.086
Ge 0.401 0.102 0.410
Ge 0.401 0.398 0.410
Ge 0.599 0.602 0.590
Ge 0.599 0.898 0.590
Ge 0.745 0.250 0.914
Ge 0.755 0.750 0.414
Ge 0.901 0.102 0.090
Ge 0.901 0.398 0.090
H 0.073 0.063 0.891
H 0.073 0.437 0.891
H 0.427 0.563 0.391
H 0.427 0.937 0.391
H 0.573 0.063 0.609
H 0.573 0.437 0.609
H 0.927 0.563 0.109
H 0.927 0.937 0.109
O 0.029 0.631 0.138
O 0.029 0.869 0.138
O 0.042 0.628 0.664
O 0.042 0.872 0.664
O 0.120 0.250 0.573
O 0.132 0.023 0.917
O 0.132 0.477 0.917
O 0.203 0.750 0.342
O 0.220 0.649 0.922
O 0.220 0.851 0.922
O 0.280 0.149 0.422
O 0.280 0.351 0.422
O 0.297 0.250 0.842
O 0.368 0.523 0.417
O 0.368 0.977 0.417
O 0.380 0.750 0.073
O 0.458 0.128 0.164
O 0.458 0.372 0.164
O 0.471 0.131 0.638
O 0.471 0.369 0.638
O 0.529 0.631 0.362
O 0.529 0.869 0.362
O 0.542 0.628 0.836
O 0.542 0.872 0.836
O 0.620 0.250 0.927
O 0.632 0.023 0.583
O 0.632 0.477 0.583
O 0.703 0.750 0.158
O 0.720 0.649 0.578
O 0.720 0.851 0.578
O 0.780 0.149 0.078
O 0.780 0.351 0.078
O 0.797 0.250 0.658
O 0.868 0.523 0.083
O 0.868 0.977 0.083
O 0.880 0.750 0.427
O 0.958 0.128 0.336
O 0.958 0.372 0.336
O 0.971 0.131 0.862
O 0.971 0.369 0.862
CELL_PARAMETERS angstrom
13.834 0.000 0.000
0.000 14.072 0.000
0.000 0.000 6.156
```

Calculated values
- Theoretical density: 3.627 Mg/m³



(6)
A relaxed structure of Zn10CuB8Rh18. Source: Materials Project, functional PBE. Values from VASP.

The structure in Quantum ESPRESSO input format:
```
&SYSTEM
  ibrav = 0, nat = 74, ntyp = 4
/
ATOMIC_SPECIES
Zn 65.41 Zn.upf
Cu 63.55 Cu.upf
B 10.81 B.upf
Rh 102.91 Rh.upf
ATOMIC_POSITIONS crystal
Zn 0.032 0.187 0.000
Zn 0.050 0.450 0.000
Zn 0.169 0.331 0.000
Zn 0.187 0.968 0.000
Zn 0.209 0.709 0.000
Zn 0.291 0.209 0.000
Zn 0.313 0.468 0.000
Zn 0.331 0.831 0.000
Zn 0.450 0.950 0.000
Zn 0.468 0.687 0.000
Zn 0.532 0.313 0.000
Zn 0.550 0.050 0.000
Zn 0.669 0.169 0.000
Zn 0.687 0.532 0.000
Zn 0.709 0.791 0.000
Zn 0.791 0.291 0.000
Zn 0.813 0.032 0.000
Zn 0.831 0.669 0.000
Zn 0.950 0.550 0.000
Zn 0.968 0.813 0.000
Cu 0.000 0.000 0.000
Cu 0.500 0.500 0.000
B 0.039 0.666 0.000
B 0.123 0.835 0.000
B 0.165 0.123 0.000
B 0.166 0.539 0.000
B 0.334 0.039 0.000
B 0.335 0.623 0.000
B 0.377 0.335 0.000
B 0.461 0.166 0.000
B 0.539 0.834 0.000
B 0.623 0.665 0.000
B 0.665 0.377 0.000
B 0.666 0.961 0.000
B 0.834 0.461 0.000
B 0.835 0.877 0.000
B 0.877 0.165 0.000
B 0.961 0.334 0.000
Rh 0.048 0.326 0.500
Rh 0.068 0.901 0.500
Rh 0.082 0.582 0.500
Rh 0.088 0.744 0.500
Rh 0.099 0.068 0.500
Rh 0.161 0.211 0.500
Rh 0.174 0.452 0.500
Rh 0.211 0.839 0.500
Rh 0.244 0.588 0.500
Rh 0.256 0.088 0.500
Rh 0.289 0.339 0.500
Rh 0.326 0.952 0.500
Rh 0.339 0.711 0.500
Rh 0.401 0.568 0.500
Rh 0.412 0.244 0.500
Rh 0.418 0.082 0.500
Rh 0.432 0.401 0.500
Rh 0.452 0.826 0.500
Rh 0.548 0.174 0.500
Rh 0.568 0.599 0.500
Rh 0.582 0.918 0.500
Rh 0.588 0.756 0.500
Rh 0.599 0.432 0.500
Rh 0.661 0.289 0.500
Rh 0.674 0.048 0.500
Rh 0.711 0.661 0.500
Rh 0.744 0.912 0.500
Rh 0.756 0.412 0.500
Rh 0.789 0.161 0.500
Rh 0.826 0.548 0.500
Rh 0.839 0.789 0.500
Rh 0.901 0.932 0.500
Rh 0.912 0.256 0.500
Rh 0.918 0.418 0.500
Rh 0.932 0.099 0.500
Rh 0.952 0.674 0.500
CELL_PARAMETERS angstrom
17.884 0.000 0.000
0.000 17.884 0.000
0.000 0.000 2.879
```

Calculated values
- Theoretical density: 9.582 Mg/m³



Going through the records in order, we get DFT total energy values of -24.5 -230.1 -86.5 -924.3 -497.3 -435.0 eV for the cell shown.
Going through the records in order, we get E_form values of -3.4 -55.4 -19.7 -80.1 -43.6 -14.8 eV/f.u..
Going through the records in order, we get M_tot values of 0.0855 0.5633 0.0012 0.0000 0.3686 0.0001 μB per atom.